DFT (meta-GGA r2SCAN) results for an optimized crystal structure of K2Ge2Se5.

Calculated values
The total DFT energy (no corrections) comes out at -13.181 eV/atom. The formation enthalpy at 0 K is -810 meV per atom. The value obtained for the calculated density is 3445 kg/m3.

Structure (POSCAR):
```
K2Ge2Se5
1.0
9.880 0.000 0.000
0.000 11.756 0.000
-0.017 0.000 10.262
K Ge Se
8 8 20
Direct
0.040 0.250 0.418
0.360 0.007 0.667
0.360 0.493 0.667
0.409 0.250 0.107
0.591 0.750 0.893
0.640 0.507 0.333
0.640 0.993 0.333
0.960 0.750 0.582
0.090 0.250 0.820
0.202 0.750 0.944
0.234 0.587 0.263
0.234 0.913 0.263
0.766 0.087 0.737
0.766 0.413 0.737
0.798 0.250 0.056
0.910 0.750 0.180
0.006 0.084 0.711
0.006 0.416 0.711
0.037 0.250 0.045
0.266 0.750 0.731
0.298 0.583 0.039
0.298 0.917 0.039
0.316 0.075 0.356
0.316 0.425 0.356
0.319 0.250 0.799
0.327 0.750 0.372
0.673 0.250 0.628
0.681 0.750 0.201
0.684 0.575 0.644
0.684 0.925 0.644
0.702 0.083 0.961
0.702 0.417 0.961
0.734 0.250 0.269
0.963 0.750 0.955
0.994 0.584 0.289
0.994 0.916 0.289
```

---

DFT (meta-GGA r2SCAN) results for an optimized crystal structure of LaGe.

Calculated values
The total DFT energy (no corrections) comes out at -22.759 eV/atom. The formation enthalpy at 0 K is -951 meV per atom. The value obtained for the calculated density is 6528 kg/m3.

Structure (POSCAR):
```
LaGe
1.0
4.592 0.000 0.000
0.000 13.850 0.000
0.000 0.000 6.769
La Ge
8 8
Direct
0.000 0.047 0.250
0.000 0.225 0.750
0.000 0.775 0.250
0.000 0.953 0.750
0.500 0.275 0.250
0.500 0.453 0.750
0.500 0.547 0.250
0.500 0.725 0.750
0.000 0.401 0.056
0.000 0.401 0.444
0.000 0.599 0.556
0.000 0.599 0.944
0.500 0.099 0.556
0.500 0.099 0.944
0.500 0.901 0.056
0.500 0.901 0.444
```

---

DFT (meta-GGA r2SCAN) results for an optimized crystal structure of LaGe5.

Calculated values
The total DFT energy (no corrections) comes out at -16.788 eV/atom. The formation enthalpy at 0 K is -270 meV per atom. The value obtained for the calculated density is 6573 kg/m3.

Structure (POSCAR):
```
LaGe5
1.0
3.990 0.000 0.000
0.000 6.335 0.000
0.000 0.000 10.036
La Ge
2 10
Direct
0.000 0.000 0.000
0.500 0.500 0.500
0.000 0.197 0.327
0.000 0.197 0.673
0.000 0.500 0.000
0.000 0.803 0.327
0.000 0.803 0.673
0.500 0.000 0.500
0.500 0.303 0.173
0.500 0.303 0.827
0.500 0.697 0.173
0.500 0.697 0.827
```

---

DFT (meta-GGA r2SCAN) results for an optimized crystal structure of La3Ge5.

Calculated values
The total DFT energy (no corrections) comes out at -20.685 eV/atom. The formation enthalpy at 0 K is -861 meV per atom. The value obtained for the calculated density is 6467 kg/m3.

Structure (POSCAR):
```
La3Ge5
1.0
0.000 9.125 7.190
3.053 0.000 7.190
3.053 9.125 0.000
La Ge
6 10
Direct
0.000 0.000 0.000
0.250 0.250 0.250
0.334 0.677 0.331
0.591 0.919 0.573
0.677 0.334 0.659
0.919 0.591 0.916
0.065 0.762 0.285
0.193 0.478 0.983
0.267 0.904 0.057
0.361 0.965 0.488
0.433 0.433 0.567
0.478 0.193 0.346
0.683 0.683 0.817
0.762 0.065 0.889
0.904 0.267 0.772
0.965 0.361 0.185
```